(1)
A relaxed structure of BaP2Xe4F20. Source: Materials Project, functional PBE-GGA.

formation enthalpy at 0 K	-2158.3	meV/atom
space group	No. 2
crystal system	triclinic
magnetization	0.03	μB/cell

Lattice parameters (Å, degrees): 8.9851 9.1738 26.0188 96.40 93.91 98.50
Sites, in units of the cell vectors:
Ba 0.0435 0.2716 0.1391
Ba 0.3427 0.2211 0.6009
Ba 0.6573 0.7789 0.3991
Ba 0.9565 0.7284 0.8609
P 0.1603 0.4856 0.7288
P 0.1876 0.2972 0.4551
P 0.2200 0.6106 0.9553
P 0.4040 0.9373 0.2896
P 0.5960 0.0627 0.7104
P 0.7800 0.3894 0.0447
P 0.8124 0.7028 0.5449
P 0.8397 0.5144 0.2712
Xe 0.0361 0.7707 0.1366
Xe 0.0800 0.9576 0.7166
Xe 0.1796 0.7995 0.4269
Xe 0.2860 0.1202 0.9994
Xe 0.3261 0.7234 0.5763
Xe 0.3351 0.4619 0.2897
Xe 0.4748 0.8681 0.8470
Xe 0.4802 0.6068 0.1288
Xe 0.5198 0.3932 0.8712
Xe 0.5252 0.1319 0.1530
Xe 0.6649 0.5381 0.7103
Xe 0.6739 0.2766 0.4237
Xe 0.7140 0.8798 0.0006
Xe 0.8204 0.2005 0.5731
Xe 0.9200 0.0424 0.2834
Xe 0.9639 0.2293 0.8634
F 0.0189 0.4455 0.6846
F 0.0338 0.5764 0.9499
F 0.0370 0.0885 0.2193
F 0.0420 0.0442 0.8880
F 0.0426 0.1945 0.5982
F 0.0504 0.1561 0.4444
F 0.0589 0.5870 0.7656
F 0.0947 0.3930 0.4190
F 0.0977 0.3397 0.7561
F 0.1009 0.1490 0.0422
F 0.1106 0.3605 0.5068
F 0.1186 0.5851 0.1594
F 0.1955 0.0019 0.6524
F 0.2087 0.7825 0.9422
F 0.2122 0.5617 0.8911
F 0.2232 0.6636 0.0166
F 0.2248 0.6316 0.7019
F 0.2278 0.4400 0.9648
F 0.2432 0.8457 0.8296
F 0.2606 0.8171 0.3008
F 0.2616 0.3838 0.6922
F 0.2682 0.2299 0.4055
F 0.2832 0.1981 0.4933
F 0.2832 0.3425 0.2160
F 0.2921 0.1006 0.1335
F 0.3032 0.0700 0.2966
F 0.3027 0.5264 0.7732
F 0.3114 0.9320 0.5536
F 0.3198 0.4138 0.1076
F 0.3278 0.4348 0.4677
F 0.3427 0.5154 0.5977
F 0.3540 0.9037 0.2273
F 0.3585 0.2082 0.8510
F 0.3918 0.5868 0.3615
F 0.4032 0.6470 0.9571
F 0.4043 0.7964 0.4518
F 0.4509 0.9433 0.7208
F 0.4581 0.9654 0.3533
F 0.4641 0.0906 0.9556
F 0.4903 0.1963 0.7152
F 0.5097 0.8037 0.2848
F 0.5359 0.9094 0.0444
F 0.5419 0.0346 0.6467
F 0.5491 0.0567 0.2792
F 0.5957 0.2036 0.5482
F 0.5968 0.3530 0.0429
F 0.6082 0.4132 0.6385
F 0.6415 0.7918 0.1490
F 0.6460 0.0963 0.7727
F 0.6573 0.4846 0.4023
F 0.6722 0.5652 0.5323
F 0.6802 0.5862 0.8924
F 0.6886 0.0680 0.4464
F 0.6973 0.4736 0.2268
F 0.6968 0.9300 0.7034
F 0.7079 0.8994 0.8665
F 0.7168 0.6575 0.7840
F 0.7168 0.8019 0.5067
F 0.7318 0.7701 0.5945
F 0.7384 0.6162 0.3078
F 0.7394 0.1829 0.6992
F 0.7568 0.1543 0.1704
F 0.7722 0.5600 0.0352
F 0.7752 0.3684 0.2981
F 0.7768 0.3364 0.9834
F 0.7878 0.4383 0.1089
F 0.7913 0.2175 0.0578
F 0.8045 0.9981 0.3476
F 0.8814 0.4149 0.8406
F 0.8894 0.6395 0.4932
F 0.8991 0.8510 0.9578
F 0.9023 0.6603 0.2439
F 0.9053 0.6070 0.5810
F 0.9411 0.4130 0.2344
F 0.9496 0.8439 0.5556
F 0.9574 0.8055 0.4018
F 0.9580 0.9558 0.1120
F 0.9630 0.9115 0.7807
F 0.9662 0.4236 0.0501
F 0.9811 0.5545 0.3154

(2)
A relaxed structure of BaPdF4. Source: Materials Project, functional PBE-GGA.

formation enthalpy at 0 K	-2851.3	meV/atom
space group	No. 140
crystal system	tetragonal

Lattice parameters (Å, degrees): 7.0912 7.0912 7.0912 127.42 127.42 77.56
Sites, in units of the cell vectors:
Ba 0.2500 0.2500 0.0000
Ba 0.7500 0.7500 0.0000
Pd 0.0000 0.5000 0.5000
Pd 0.5000 0.0000 0.5000
F 0.0327 0.5327 0.8216
F 0.2112 0.0327 0.5000
F 0.2888 0.7888 0.8216
F 0.4673 0.2888 0.5000
F 0.5327 0.7112 0.5000
F 0.7112 0.2112 0.1784
F 0.7888 0.9673 0.5000
F 0.9673 0.4673 0.1784

(3)
A relaxed structure of Ba3PrF9. Source: Materials Project, functional PBE-GGA.

formation enthalpy at 0 K	-4184.2	meV/atom
space group	No. 1
crystal system	triclinic
magnetization	0.00	μB/cell

Lattice parameters (Å, degrees): 4.2347 4.3762 14.7022 91.42 97.41 118.70
Sites, in units of the cell vectors:
Ba 0.0000 0.0000 0.0000
Ba 0.0098 0.5371 0.5177
Ba 0.5297 0.7802 0.2592
Pr 0.4808 0.1903 0.7473
F 0.1366 0.5618 0.7401
F 0.1513 0.0918 0.1883
F 0.3710 0.2235 0.5839
F 0.3717 0.6819 0.0618
F 0.6102 0.3076 0.9183
F 0.6393 0.8529 0.4421
F 0.7216 0.9141 0.6497
F 0.8765 0.9418 0.8215
F 0.9033 0.4650 0.3244

(4)
A relaxed structure of Ba3RhF12. Source: Materials Project, functional PBE-GGA.

formation enthalpy at 0 K	-2795.6	meV/atom
space group	No. 12
crystal system	monoclinic
magnetization	1.00	μB/cell

Lattice parameters (Å, degrees): 8.5065 8.5065 6.6766 100.07 100.07 123.45
Sites, in units of the cell vectors:
Ba 0.0000 0.0000 0.0000
Ba 0.0000 0.5000 0.5000
Ba 0.5000 0.0000 0.5000
Rh 0.0000 0.0000 0.5000
F 0.0766 0.2344 0.7436
F 0.0802 0.2348 0.3914
F 0.2065 0.6573 0.2538
F 0.2344 0.0766 0.7436
F 0.2348 0.0802 0.3914
F 0.3427 0.7935 0.7462
F 0.6573 0.2065 0.2538
F 0.7652 0.9198 0.6086
F 0.7656 0.9234 0.2564
F 0.7935 0.3427 0.7462
F 0.9198 0.7652 0.6086
F 0.9234 0.7656 0.2564

(5)
A relaxed structure of BaRhF6. Source: Materials Project, functional PBE-GGA.

formation enthalpy at 0 K	-2787.0	meV/atom
space group	No. 166
crystal system	trigonal

Lattice parameters (Å, degrees): 5.0295 5.0295 5.0295 98.38 98.38 98.38
Sites, in units of the cell vectors:
Ba 0.0000 0.0000 0.0000
Rh 0.5000 0.5000 0.5000
F 0.2207 0.2207 0.5731
F 0.2207 0.5731 0.2207
F 0.4269 0.7793 0.7793
F 0.5731 0.2207 0.2207
F 0.7793 0.4269 0.7793
F 0.7793 0.7793 0.4269

(6)
A relaxed structure of Ba3RuF6. Source: Materials Project, functional PBE-GGA.

energy above the most stable polymorph in this dataset	0.000	eV/atom
formation enthalpy at 0 K	-3006.1	meV/atom
space group	No. 2
crystal system	triclinic
magnetization	0.00	μB/cell

Lattice parameters (Å, degrees): 6.3468 6.3549 6.8670 76.95 76.53 89.11
Sites, in units of the cell vectors:
Ba 0.0000 0.0000 0.0000
Ba 0.0000 0.5000 0.5000
Ba 0.5000 0.0000 0.5000
Ru 0.0000 0.0000 0.5000
F 0.1345 0.7666 0.7220
F 0.2335 0.8648 0.2755
F 0.2759 0.2778 0.7160
F 0.7241 0.7222 0.2840
F 0.7665 0.1352 0.7245
F 0.8655 0.2334 0.2780

(7)
A relaxed structure of Ba3RuF6. Source: Materials Project, functional PBE-GGA.

energy above the most stable polymorph in this dataset	0.009	eV/atom
formation enthalpy at 0 K	-2996.6	meV/atom
space group	No. 2
crystal system	triclinic
magnetization	2.00	μB/cell

Lattice parameters (Å, degrees): 6.5267 6.5501 6.5503 100.25 96.87 96.73
Sites, in units of the cell vectors:
Ba 0.0000 0.0000 0.0000
Ba 0.0000 0.5000 0.5000
Ba 0.5000 0.0000 0.5000
Ru 0.0000 0.0000 0.5000
F 0.1541 0.7703 0.2709
F 0.2503 0.2465 0.3238
F 0.2517 0.8244 0.7475
F 0.7483 0.1756 0.2525
F 0.7497 0.7535 0.6762
F 0.8459 0.2297 0.7291

(8)
A relaxed structure of BaSbF7. Source: Materials Project, functional PBE-GGA.

formation enthalpy at 0 K	-3162.3	meV/atom
space group	No. 14
crystal system	monoclinic
magnetization	0.00	μB/cell

Lattice parameters (Å, degrees): 5.7304 10.0449 10.5031 90.00 92.55 90.00
Sites, in units of the cell vectors:
Ba 0.1935 0.1709 0.0072
Ba 0.1935 0.3291 0.5072
Ba 0.8065 0.6709 0.4928
Ba 0.8065 0.8291 0.9928
Sb 0.3158 0.6129 0.1867
Sb 0.3158 0.8871 0.6867
Sb 0.6842 0.1129 0.3133
Sb 0.6842 0.3871 0.8133
F 0.0317 0.6920 0.2416
F 0.0317 0.8080 0.7416
F 0.1156 0.5431 0.6108
F 0.1156 0.9569 0.1108
F 0.1579 0.0473 0.6369
F 0.1579 0.4527 0.1369
F 0.2466 0.6938 0.0225
F 0.2466 0.8062 0.5225
F 0.3830 0.5458 0.3573
F 0.3830 0.9542 0.8573
F 0.3980 0.0487 0.3763
F 0.3980 0.4513 0.8763
F 0.4951 0.7329 0.7405
F 0.4951 0.7671 0.2405
F 0.5049 0.2329 0.7595
F 0.5049 0.2671 0.2595
F 0.6020 0.5487 0.1237
F 0.6020 0.9513 0.6237
F 0.6170 0.0458 0.1427
F 0.6170 0.4542 0.6427
F 0.7534 0.1938 0.4775
F 0.7534 0.3062 0.9775
F 0.8421 0.5473 0.8631
F 0.8421 0.9527 0.3631
F 0.8844 0.0431 0.8892
F 0.8844 0.4569 0.3892
F 0.9683 0.1920 0.2584
F 0.9683 0.3080 0.7584

(9)
A relaxed structure of BaSb2F12. Source: Materials Project, functional PBE-GGA.

energy above the most stable polymorph in this dataset	0.009	eV/atom
formation enthalpy at 0 K	-2982.1	meV/atom
space group	No. 1
crystal system	triclinic

Lattice parameters (Å, degrees): 5.3495 5.7095 9.4759 91.62 104.43 117.56
Sites, in units of the cell vectors:
Ba 0.0000 0.0000 0.0000
Sb 0.0847 0.5260 0.6786
Sb 0.4299 0.7118 0.2596
F 0.0868 0.5445 0.0798
F 0.2282 0.3956 0.3346
F 0.2345 0.9026 0.2988
F 0.2678 0.3104 0.6754
F 0.3271 0.7858 0.5834
F 0.3976 0.7325 0.8660
F 0.5757 0.5292 0.1531
F 0.6105 0.0024 0.1509
F 0.7696 0.8676 0.4239
F 0.7759 0.3523 0.5000
F 0.8627 0.2748 0.7936
F 0.9163 0.7403 0.7325

(10)
A relaxed structure of BaSb2F12. Source: Materials Project, functional PBE-GGA.

energy above the most stable polymorph in this dataset	0.000	eV/atom
formation enthalpy at 0 K	-2991.3	meV/atom
space group	No. 1
crystal system	triclinic

Lattice parameters (Å, degrees): 5.7396 5.7460 9.4368 97.51 95.16 118.42
Sites, in units of the cell vectors:
Ba 0.0000 0.0000 0.0000
Sb 0.2324 0.5357 0.6645
Sb 0.3886 0.7305 0.2140
F 0.0547 0.5540 0.0698
F 0.0789 0.2805 0.7930
F 0.1364 0.7664 0.7878
F 0.2187 0.4177 0.2957
F 0.2458 0.9395 0.3002
F 0.3462 0.3067 0.5712
F 0.4030 0.8118 0.5581
F 0.5024 0.5243 0.0844
F 0.5275 0.9961 0.0884
F 0.5663 0.7082 0.8064
F 0.7343 0.9013 0.3276
F 0.8945 0.3803 0.5430

(11)
A relaxed structure of Ba2Sb2F11. Source: Materials Project, functional PBE-GGA.

formation enthalpy at 0 K	-3197.2	meV/atom
space group	No. 145
crystal system	trigonal
magnetization	3.12	μB/cell

Lattice parameters (Å, degrees): 8.0636 8.0636 14.8237 90.00 90.00 120.00
Sites, in units of the cell vectors:
Ba 0.1219 0.3973 0.0000
Ba 0.2754 0.8781 0.3333
Ba 0.5446 0.1734 0.8524
Ba 0.6027 0.7246 0.6667
Ba 0.6288 0.4554 0.1857
Ba 0.8266 0.3712 0.5191
Sb 0.0610 0.5948 0.7575
Sb 0.2010 0.0477 0.5952
Sb 0.4052 0.4662 0.4242
Sb 0.5338 0.9390 0.0908
Sb 0.8467 0.7990 0.9285
Sb 0.9523 0.1533 0.2618
F 0.0039 0.5840 0.3898
F 0.0071 0.7526 0.6023
F 0.1077 0.0402 0.9384
F 0.1201 0.4883 0.6484
F 0.1582 0.0350 0.4592
F 0.2474 0.2545 0.2690
F 0.2611 0.0775 0.7318
F 0.2980 0.6899 0.1395
F 0.3101 0.6081 0.8062
F 0.3596 0.3434 0.5917
F 0.3682 0.8799 0.9818
F 0.3919 0.7020 0.4729
F 0.3985 0.0528 0.1599
F 0.4160 0.4199 0.0565
F 0.4572 0.0685 0.5482
F 0.5117 0.6318 0.3151
F 0.5536 0.3223 0.3746
F 0.5801 0.9961 0.7232
F 0.6113 0.5428 0.8816
F 0.6543 0.6015 0.4933
F 0.6566 0.0162 0.2583
F 0.6777 0.2313 0.0413
F 0.7455 0.9929 0.9356
F 0.7687 0.4464 0.7079
F 0.8164 0.7389 0.0652
F 0.8768 0.8418 0.7925
F 0.9225 0.1836 0.3985
F 0.9315 0.3887 0.2149
F 0.9325 0.8923 0.2717
F 0.9472 0.3457 0.8266
F 0.9598 0.0675 0.6050
F 0.9650 0.1232 0.1259
F 0.9838 0.6404 0.9250

(12)
A relaxed structure of BaSbF5. Source: Materials Project, functional PBE-GGA.

formation enthalpy at 0 K	-3372.6	meV/atom
space group	No. 57
crystal system	orthorhombic

Lattice parameters (Å, degrees): 4.8027 9.5172 11.4578 90.00 90.00 90.00
Sites, in units of the cell vectors:
Ba 0.0127 0.2500 0.0000
Ba 0.0127 0.2500 0.5000
Ba 0.9873 0.7500 0.0000
Ba 0.9873 0.7500 0.5000
Sb 0.3921 0.0559 0.2500
Sb 0.3921 0.4441 0.7500
Sb 0.6079 0.5559 0.2500
Sb 0.6079 0.9441 0.7500
F 0.1020 0.2081 0.2500
F 0.1020 0.2919 0.7500
F 0.1135 0.5119 0.6166
F 0.1135 0.5119 0.8834
F 0.1135 0.9881 0.1166
F 0.1135 0.9881 0.3834
F 0.4697 0.6919 0.1148
F 0.4697 0.6919 0.3852
F 0.4697 0.8081 0.6148
F 0.4697 0.8081 0.8852
F 0.5303 0.1919 0.1148
F 0.5303 0.1919 0.3852
F 0.5303 0.3081 0.6148
F 0.5303 0.3081 0.8852
F 0.8865 0.0119 0.6166
F 0.8865 0.0119 0.8834
F 0.8865 0.4881 0.1166
F 0.8865 0.4881 0.3834
F 0.8980 0.7081 0.2500
F 0.8980 0.7919 0.7500